Sb2H3NF11 | PBE | relaxed

Formation enthalpy at 0 K ... -2.14 eV per atom
Symmetry ... P-1

a b c (Å): 6.765 8.582 8.627
angles (deg): 76.99 72.22 70.95
Sites, in units of the cell vectors:
Sb 0.623 0.640 0.680
Sb 0.377 0.360 0.320
Sb 0.799 0.128 0.770
Sb 0.201 0.872 0.230
H 0.190 0.358 0.982
H 0.810 0.642 0.018
H 0.072 0.477 0.828
H 0.928 0.523 0.172
H 0.936 0.358 0.983
H 0.064 0.642 0.017
N 0.044 0.430 0.953
N 0.956 0.570 0.047
F 0.533 0.873 0.667
F 0.467 0.127 0.333
F 0.640 0.632 0.460
F 0.360 0.368 0.540
F 0.338 0.613 0.759
F 0.662 0.387 0.241
F 0.928 0.611 0.637
F 0.072 0.389 0.363
F 0.636 0.602 0.907
F 0.364 0.398 0.093
F 0.779 0.118 0.560
F 0.221 0.882 0.440
F 0.089 0.136 0.686
F 0.911 0.864 0.314
F 0.864 0.895 0.844
F 0.136 0.105 0.156
F 0.495 0.164 0.858
F 0.505 0.836 0.142
F 0.814 0.188 0.968
F 0.186 0.812 0.032
F 0.718 0.385 0.699
F 0.282 0.615 0.301



SbH6N2F5 | PBE | relaxed

Formation enthalpy at 0 K ... -1.44 eV per atom
Symmetry ... Pnma

a b c (Å): 5.867 7.009 13.058
angles (deg): 90.00 90.00 90.00
Sites, in units of the cell vectors:
Sb 0.398 0.485 0.750
Sb 0.898 0.015 0.750
Sb 0.602 0.515 0.250
Sb 0.102 0.985 0.250
H 0.255 0.027 0.006
H 0.755 0.473 0.494
H 0.745 0.973 0.506
H 0.245 0.527 0.994
H 0.745 0.973 0.994
H 0.245 0.527 0.506
H 0.255 0.027 0.494
H 0.755 0.473 0.006
H 0.427 0.090 0.906
H 0.927 0.410 0.594
H 0.573 0.910 0.406
H 0.073 0.590 0.094
H 0.573 0.910 0.094
H 0.073 0.590 0.406
H 0.427 0.090 0.594
H 0.927 0.410 0.906
H 0.402 0.847 0.935
H 0.902 0.653 0.565
H 0.598 0.153 0.435
H 0.098 0.347 0.065
H 0.598 0.153 0.065
H 0.098 0.347 0.435
H 0.402 0.847 0.565
H 0.902 0.653 0.935
N 0.405 0.991 0.965
N 0.905 0.509 0.535
N 0.595 0.009 0.465
N 0.095 0.491 0.035
N 0.595 0.009 0.035
N 0.095 0.491 0.465
N 0.405 0.991 0.535
N 0.905 0.509 0.965
F 0.095 0.606 0.750
F 0.595 0.894 0.750
F 0.905 0.394 0.250
F 0.405 0.106 0.250
F 0.256 0.292 0.651
F 0.756 0.208 0.849
F 0.744 0.708 0.151
F 0.244 0.792 0.349
F 0.744 0.708 0.349
F 0.244 0.792 0.151
F 0.256 0.292 0.849
F 0.756 0.208 0.651
F 0.411 0.634 0.911
F 0.911 0.866 0.589
F 0.589 0.366 0.411
F 0.089 0.134 0.089
F 0.589 0.366 0.089
F 0.089 0.134 0.411
F 0.411 0.634 0.589
F 0.911 0.866 0.911